The following is a PBE calculation of an optimized crystal structure of K8MgSi8O24, from the Materials Project.

Cell: 7.9266 7.8942 11.0034 Å, 88.66 91.05 93.85°
With the nearest neighbours (Å) after each atom.
Fractional coordinates of all 41 atoms:
K1 0.9914 0.9936 0.7469  6 O 2.75-3.01
K2 0.5135 0.5166 0.7538  2 O 2.75-2.77
K3 0.0415 0.0112 0.2535  4 O 2.73-2.86
K4 0.3896 0.4032 0.2377  4 O 2.68-2.87
K5 0.6734 0.1959 0.5214  4 O 2.68-3.00
K6 0.1765 0.6831 0.9751  3 O 2.64-2.75
K7 0.3358 0.8132 0.4820  3 O 2.63-2.76
K8 0.8273 0.3183 0.0164  3 O 2.66-2.72
Mg1 0.7128 0.6490 0.2444  3 O 1.95-2.08
Si1 0.9887 0.5185 0.6835  4 O 1.62-1.66
Si2 0.5140 0.9892 0.8169  4 O 1.62-1.67
Si3 0.9974 0.5054 0.3092  4 O 1.60-1.70
Si4 0.5001 0.9919 0.1898  4 O 1.62-1.68
Si5 0.8154 0.7258 0.4769  4 O 1.60-1.73
Si6 0.3135 0.1876 0.9810  4 O 1.61-1.68
Si7 0.1830 0.2970 0.5255  4 O 1.61-1.66
Si8 0.7133 0.8018 0.0187  4 O 1.60-1.75
O1 0.9012 0.4992 0.8155  1 Si 1.62
O2 0.4938 0.8991 0.6862  1 Si 1.62
O3 0.0892 0.5233 0.1803  1 Si 1.60
O4 0.5115 0.0858 0.3191  1 Si 1.62
O5 0.8470 0.5725 0.5789  2 Si 1.66
O6 0.3345 0.0642 0.8627  2 Si 1.66-1.67
O7 0.1224 0.4180 0.4089  2 Si 1.64-1.66
O8 0.6808 0.9082 0.1529  2 Si 1.68-1.75
O9 0.0532 0.3348 0.6373  2 Si 1.66
O10 0.5563 0.8453 0.9238  2 Si 1.66
O11 0.9551 0.6992 0.3608  2 Si 1.70-1.73
O12 0.4642 0.1335 0.0804  2 Si 1.66-1.68
O13 0.1405 0.6629 0.7068  1 Si 1.62
O14 0.6626 0.1365 0.7912  1 Si 1.62
O15 0.8078 0.4155 0.2877  1 Si 1.63
O16 0.3463 0.8493 0.2138  1 Si 1.62
O17 0.8475 0.9160 0.5242  1 Si 1.60
O18 0.3410 0.3891 0.9539  1 Si 1.61
O19 0.1656 0.0973 0.4916  1 Si 1.62
O20 0.6815 0.6088 0.0711  1 Si 1.62
O21 0.6328 0.6858 0.4088  1 Si 1.63
O22 0.1245 0.1649 0.0356  1 Si 1.62
O23 0.3800 0.3451 0.5538  1 Si 1.61
O24 0.8985 0.8611 0.9720  1 Si 1.60

Mass density = 2.29 g/cm³
Calculated formation energy = -2548 meV/atom
Crystal system = triclinic
DFT total energy = -6.36 eV per atom
Offset from the most stable computed form = 0.957 eV/f.u.


The following is a PBE calculation of an optimized crystal structure of YB3H33N7, from the Materials Project.

Cell: 8.3870 13.8182 14.8559 Å, 90.00 90.00 90.00°
With the nearest neighbours (Å) after each atom.
Fractional coordinates of all 176 atoms:
Y1 0.2486 0.7164 0.5839  7 N 2.46-2.50
Y2 0.7514 0.2164 0.4161  7 N 2.46-2.50
Y3 0.2486 0.2164 0.9161  7 N 2.46-2.50
Y4 0.7514 0.7164 0.0839  7 N 2.46-2.50
B1 0.8134 0.4079 0.0851  4 H 1.23-1.24
B2 0.1866 0.9079 0.9149  4 H 1.23-1.24
B3 0.8134 0.9079 0.4149  4 H 1.23-1.24
B4 0.1866 0.4079 0.5851  4 H 1.23-1.24
B5 0.7680 0.7267 0.7461  4 H 1.23
B6 0.2320 0.2267 0.2539  4 H 1.23
B7 0.7680 0.2267 0.7539  4 H 1.23
B8 0.2320 0.7267 0.2461  4 H 1.23
B9 0.6792 0.5527 0.4144  4 H 1.23
B10 0.3208 0.0527 0.5856  4 H 1.23
B11 0.6792 0.0527 0.0856  4 H 1.23
B12 0.3208 0.5527 0.9144  4 H 1.23
H1 0.7870 0.6182 0.2685  1 N 1.03
H2 0.2130 0.1182 0.7315  1 N 1.03
H3 0.7870 0.1182 0.2315  1 N 1.03
H4 0.2130 0.6182 0.7685  1 N 1.03
H5 0.7588 0.0439 0.5345  1 N 1.03
H6 0.2412 0.5439 0.4655  1 N 1.03
H7 0.7588 0.5439 0.9655  1 N 1.03
H8 0.2412 0.0439 0.0345  1 N 1.03
H9 0.1802 0.3538 0.7580  1 N 1.03
H10 0.8198 0.8538 0.2420  1 N 1.03
H11 0.1802 0.8538 0.7420  1 N 1.03
H12 0.8198 0.3538 0.2580  1 N 1.03
H13 0.4449 0.8027 0.1591  1 N 1.03
H14 0.5551 0.3027 0.8409  1 N 1.03
H15 0.4449 0.3027 0.3409  1 N 1.03
H16 0.5551 0.8027 0.6591  1 N 1.03
H17 0.7257 0.3183 0.5965  1 N 1.03
H18 0.2743 0.8183 0.4035  1 N 1.03
H19 0.7257 0.8183 0.9035  1 N 1.03
H20 0.2743 0.3183 0.0965  1 N 1.03
H21 0.5292 0.6187 0.6779  1 N 1.03
H22 0.4708 0.1187 0.3221  1 N 1.03
H23 0.5292 0.1187 0.8221  1 N 1.03
H24 0.4708 0.6187 0.1779  1 N 1.03
H25 0.8909 0.1980 0.9022  1 N 1.03
H26 0.1091 0.6980 0.0978  1 N 1.03
H27 0.8909 0.6980 0.5978  1 N 1.03
H28 0.1091 0.1980 0.4022  1 N 1.03
H29 0.5374 0.5884 0.5712  1 N 1.03
H30 0.4626 0.0884 0.4288  1 N 1.03
H31 0.5374 0.0884 0.9288  1 N 1.03
H32 0.4626 0.5884 0.0712  1 N 1.03
H33 0.8774 0.5565 0.1890  1 N 1.03
H34 0.1226 0.0565 0.8110  1 N 1.03
H35 0.8774 0.0565 0.3110  1 N 1.03
H36 0.1226 0.5565 0.6890  1 N 1.03
H37 0.0134 0.3373 0.8124  1 N 1.03
H38 0.9866 0.8373 0.1876  1 N 1.03
H39 0.0134 0.8373 0.6876  1 N 1.03
H40 0.9866 0.3373 0.3124  1 N 1.03
H41 0.8952 0.3553 0.5558  1 N 1.03
H42 0.1048 0.8553 0.4442  1 N 1.03
H43 0.8952 0.8553 0.9442  1 N 1.03
H44 0.1048 0.3553 0.0558  1 N 1.03
H45 0.7777 0.1362 0.6063  1 N 1.03
H46 0.2223 0.6362 0.3937  1 N 1.03
H47 0.7777 0.6362 0.8937  1 N 1.03
H48 0.2223 0.1362 0.1063  1 N 1.03
H49 0.4396 0.8240 0.0512  1 N 1.03
H50 0.5604 0.3240 0.9488  1 N 1.03
H51 0.4396 0.3240 0.4488  1 N 1.03
H52 0.5604 0.8240 0.5512  1 N 1.03
H53 0.9207 0.2494 0.0002  1 N 1.03
H54 0.0793 0.7494 0.9998  1 N 1.03
H55 0.9207 0.7494 0.4998  1 N 1.03
H56 0.0793 0.2494 0.5002  1 N 1.03
H57 0.9337 0.1323 0.9907  1 N 1.03
H58 0.0663 0.6323 0.0093  1 N 1.03
H59 0.9337 0.6323 0.5093  1 N 1.03
H60 0.0663 0.1323 0.4907  1 N 1.03
H61 0.4090 0.5337 0.6369  1 N 1.03
H62 0.5910 0.0337 0.3631  1 N 1.03
H63 0.4090 0.0337 0.8631  1 N 1.03
H64 0.5910 0.5337 0.1369  1 N 1.03
H65 0.6013 0.1046 0.5688  1 N 1.03
H66 0.3987 0.6046 0.4312  1 N 1.03
H67 0.6013 0.6046 0.9312  1 N 1.03
H68 0.3987 0.1046 0.0688  1 N 1.03
H69 0.1481 0.4152 0.8506  1 N 1.03
H70 0.8519 0.9152 0.1494  1 N 1.03
H71 0.1481 0.9152 0.6494  1 N 1.03
H72 0.8519 0.4152 0.3506  1 N 1.03
H73 0.9672 0.6505 0.2360  1 N 1.03
H74 0.0328 0.1505 0.7640  1 N 1.03
H75 0.9672 0.1505 0.2640  1 N 1.03
H76 0.0328 0.6505 0.7360  1 N 1.03
H77 0.5493 0.8926 0.1153  1 N 1.03
H78 0.4507 0.3926 0.8847  1 N 1.03
H79 0.5493 0.3926 0.3847  1 N 1.03
H80 0.4507 0.8926 0.6153  1 N 1.03
H81 0.7297 0.4055 0.5198  1 N 1.03
H82 0.2703 0.9055 0.4802  1 N 1.03
H83 0.7297 0.9055 0.9802  1 N 1.03
H84 0.2703 0.4055 0.0198  1 N 1.03
H85 0.9082 0.4758 0.0780  1 B 1.23
H86 0.0918 0.9758 0.9220  1 B 1.23
H87 0.9082 0.9758 0.4220  1 B 1.23
H88 0.0918 0.4758 0.5780  1 B 1.23
H89 0.8719 0.7216 0.8044  1 B 1.23
H90 0.1281 0.2216 0.1956  1 B 1.23
H91 0.8719 0.2216 0.6956  1 B 1.23
H92 0.1281 0.7216 0.3044  1 B 1.23
H93 0.6149 0.5100 0.4776  1 B 1.23
H94 0.3851 0.0100 0.5224  1 B 1.23
H95 0.6149 0.0100 0.0224  1 B 1.23
H96 0.3851 0.5100 0.9776  1 B 1.23
H97 0.6507 0.6396 0.4191  1 B 1.23
H98 0.3493 0.1396 0.5809  1 B 1.23
H99 0.6507 0.1396 0.0809  1 B 1.23
H100 0.3493 0.6396 0.9191  1 B 1.23
H101 0.7381 0.3989 0.0145  1 B 1.23
H102 0.2619 0.8989 0.9855  1 B 1.23
H103 0.7381 0.8989 0.4855  1 B 1.23
H104 0.2619 0.3989 0.5145  1 B 1.23
H105 0.7657 0.6506 0.7030  1 B 1.23
H106 0.2343 0.1506 0.2970  1 B 1.23
H107 0.7657 0.1506 0.7970  1 B 1.23
H108 0.2343 0.6506 0.2030  1 B 1.23
H109 0.8244 0.5389 0.4180  1 B 1.23
H110 0.1756 0.0389 0.5820  1 B 1.23
H111 0.8244 0.0389 0.0820  1 B 1.23
H112 0.1756 0.5389 0.9180  1 B 1.23
H113 0.6371 0.7400 0.7815  1 B 1.23
H114 0.3629 0.2400 0.2185  1 B 1.23
H115 0.6371 0.2400 0.7185  1 B 1.23
H116 0.3629 0.7400 0.2815  1 B 1.23
H117 0.7196 0.4227 0.1476  1 B 1.24
H118 0.2804 0.9227 0.8524  1 B 1.24
H119 0.7196 0.9227 0.3524  1 B 1.24
H120 0.2804 0.4227 0.6476  1 B 1.24
H121 0.6255 0.5198 0.3434  1 B 1.23
H122 0.3745 0.0198 0.6566  1 B 1.23
H123 0.6255 0.0198 0.1566  1 B 1.23
H124 0.3745 0.5198 0.8434  1 B 1.23
H125 0.7986 0.7955 0.6963  1 B 1.23
H126 0.2014 0.2955 0.3037  1 B 1.23
H127 0.7986 0.2955 0.8037  1 B 1.23
H128 0.2014 0.7955 0.1963  1 B 1.23
H129 0.8870 0.3330 0.1019  1 B 1.23
H130 0.1130 0.8330 0.8981  1 B 1.23
H131 0.8870 0.8330 0.3981  1 B 1.23
H132 0.1130 0.3330 0.6019  1 B 1.23
N1 0.7188 0.1124 0.5499  3 H 1.03
N2 0.2812 0.6124 0.4501  3 H 1.03
N3 0.7188 0.6124 0.9501  3 H 1.03
N4 0.2812 0.1124 0.0499  3 H 1.03
N5 0.9629 0.1957 0.9583  3 H 1.03
N6 0.0371 0.6957 0.0417  3 H 1.03
N7 0.9629 0.6957 0.5417  3 H 1.03
N8 0.0371 0.1957 0.4583  3 H 1.03
N9 0.8590 0.6256 0.2130  3 H 1.03
N10 0.1410 0.1256 0.7870  3 H 1.03
N11 0.8590 0.1256 0.2870  3 H 1.03
N12 0.1410 0.6256 0.7130  3 H 1.03
N13 0.5161 0.8216 0.1054  3 H 1.03
N14 0.4839 0.3216 0.8946  3 H 1.03
N15 0.5161 0.3216 0.3946  3 H 1.03
N16 0.4839 0.8216 0.6054  3 H 1.03
N17 0.4596 0.6002 0.6237  3 H 1.03
N18 0.5404 0.1002 0.3763  3 H 1.03
N19 0.4596 0.1002 0.8763  3 H 1.03
N20 0.5404 0.6002 0.1237  3 H 1.03
N21 0.1336 0.3480 0.8220  3 H 1.03
N22 0.8664 0.8480 0.1780  3 H 1.03
N23 0.1336 0.8480 0.6780  3 H 1.03
N24 0.8664 0.3480 0.3220  3 H 1.03
N25 0.7793 0.3402 0.5377  3 H 1.03
N26 0.2207 0.8402 0.4623  3 H 1.03
N27 0.7793 0.8402 0.9623  3 H 1.03
N28 0.2207 0.3402 0.0377  3 H 1.03

Mass density = 0.97 g/cm³
Calculated formation energy = -416 meV/atom
Crystal system = orthorhombic
DFT total energy = -4.83 eV per atom